# 1
{
  "formula": "PaAgAu2",
  "functional": "meta-GGA r2SCAN",
  "state": "optimized geometry",
  "cell": [[0.061, 3.490, 3.490], [3.490, 0.061, 3.490], [3.490, 3.490, 0.061]],
  "species": ["Pa", "Au", "Au", "Ag"],
  "frac_coords": [[0.750, 0.750, 0.750], [0.996, 0.996, 0.996], [0.504, 0.504, 0.504], [0.250, 0.250, 0.250]],
  "total_energy_ha_per_atom": -1.8434,
  "magmom_total_mub_per_cell": 0.916,
  "ef_ev_per_atom": -0.317,
  "volume_a3_per_atom": 20.696
}


# 2
{
  "formula": "CdSnRh2",
  "functional": "meta-GGA r2SCAN",
  "state": "optimized geometry",
  "cell": [[-3.270, -2.753, -1.500], [-4.206, 0.377, 1.638], [-3.313, 1.636, -2.621]],
  "species": ["Sn", "Rh", "Rh", "Cd"],
  "frac_coords": [[0.750, 0.750, 0.750], [0.500, 0.500, 0.500], [0.000, 0.000, 0.000], [0.250, 0.250, 0.250]],
  "total_energy_ha_per_atom": -0.8689,
  "magmom_total_mub_per_cell": 0.002,
  "ef_ev_per_atom": -0.364,
  "volume_a3_per_atom": 16.431
}


# 3
{
  "formula": "Dy7Co6Sn23",
  "functional": "meta-GGA r2SCAN",
  "state": "optimized geometry",
  "cell": [[4.832, -8.369, 0.000], [4.832, 8.369, 0.000], [0.000, 0.000, 9.843]],
  "species": ["Sn", "Sn", "Sn", "Sn", "Sn", "Sn", "Sn", "Sn", "Sn", "Sn", "Sn", "Sn", "Sn", "Sn", "Sn", "Sn", "Sn", "Sn", "Sn", "Sn", "Sn", "Sn", "Sn", "Dy", "Dy", "Dy", "Dy", "Dy", "Dy", "Dy", "Co", "Co", "Co", "Co", "Co", "Co"],
  "frac_coords": [[0.219, 0.781, 0.549], [0.333, 0.667, 0.820], [0.767, 0.883, 0.275], [0.000, 0.347, 0.000], [0.000, 0.653, 0.000], [0.653, 0.653, 0.000], [0.233, 0.117, 0.725], [0.219, 0.438, 0.549], [0.667, 0.333, 0.886], [0.883, 0.117, 0.725], [0.333, 0.667, 0.114], [0.117, 0.233, 0.275], [0.653, 0.000, 0.000], [0.667, 0.333, 0.180], [0.347, 0.000, 0.000], [0.781, 0.219, 0.451], [0.562, 0.781, 0.549], [0.883, 0.767, 0.725], [0.347, 0.347, 0.000], [0.438, 0.219, 0.451], [0.781, 0.562, 0.451], [0.117, 0.883, 0.275], [0.000, 0.000, 0.500], [0.478, 0.522, 0.306], [0.522, 0.044, 0.694], [0.478, 0.957, 0.306], [0.956, 0.478, 0.694], [0.000, 0.000, 0.000], [0.522, 0.478, 0.694], [0.043, 0.522, 0.306], [0.167, 0.335, 0.803], [0.833, 0.665, 0.197], [0.167, 0.833, 0.803], [0.833, 0.167, 0.197], [0.665, 0.833, 0.803], [0.335, 0.167, 0.197]],
  "total_energy_ha_per_atom": -0.9041,
  "magmom_total_mub_per_cell": 0.000,
  "ef_ev_per_atom": -0.367,
  "volume_a3_per_atom": 22.115
}